Compound: PRuSe
Source: Materials Project
Functional: PBE-GGA
Structure: relaxed

Cell lengths 5.967, 5.981, 6.056 Å; angles 90.00, 112.08, 90.00 degrees
Fractional coordinates of all 12 atoms:
1 P 0.144 0.129 0.381
2 P 0.144 0.371 0.881
3 P 0.856 0.629 0.119
4 P 0.856 0.871 0.619
5 Ru 0.264 0.011 0.790
6 Ru 0.264 0.489 0.290
7 Ru 0.736 0.511 0.710
8 Ru 0.736 0.989 0.210
9 Se 0.334 0.625 0.693
10 Se 0.334 0.875 0.193
11 Se 0.666 0.125 0.807
12 Se 0.666 0.375 0.307

## Properties
Total moment = 0.00 μB per formula unit
Total DFT energy (no corrections) = -6.52 eV per atom